[1]
18
Lattice="4.805 -0.223 -0.132 1.588 4.523 0.061 1.041 2.110 7.296" Properties=species:S:1:pos:R:3 comment="MnCo4N4 (PBE, relaxed)" corrected_energy_ev_per_cell=-141.6 total_energy_ev_per_atom=-7.708 pbc="T T T"
N 3.936 4.537 6.093
N 0.925 0.790 0.111
N 4.110 4.284 2.842
N 3.324 2.126 4.384
N 0.969 2.116 2.806
N 3.498 1.873 1.132
N 6.509 5.620 7.114
N 6.465 4.294 4.419
Co 4.892 3.181 1.524
Co 2.498 3.464 0.386
Co 4.040 0.989 2.951
Co 2.542 3.230 5.702
Co 3.394 5.421 4.275
Co 5.034 2.987 4.104
Co 2.400 3.424 3.122
Co 4.936 2.946 6.840
Mn 1.937 1.094 1.590
Mn 5.497 5.316 5.636

---

[2]
8
Lattice="1.896 -9.606 0.000 1.896 9.606 0.000 0.000 0.000 5.305" Properties=species:S:1:pos:R:3 comment="Sr2AuN (PBE, relaxed)" corrected_energy_ev_per_cell=-35.8 total_energy_ev_per_atom=-4.384 pbc="T T T"
Sr 1.896 5.490 3.978
Sr 1.896 -5.490 1.326
Sr 1.896 -1.940 1.326
Sr 1.896 1.940 3.978
Au 1.896 -8.840 1.326
Au 1.896 8.840 3.978
N 1.896 -5.900 3.978
N 1.896 5.900 1.326

---

[3]
56
Lattice="-8.524 -6.157 -0.624 -8.875 2.613 4.985 -8.258 3.141 -5.517" Properties=species:S:1:pos:R:3 comment="Na5Bi2AsC4O16 (PBE, relaxed)" e_above_lowest_polymorph_mev_per_atom=0 corrected_energy_ev_per_cell=-374.7 total_energy_ev_per_atom=-6.298 pbc="T T T"
Na -15.444 -2.169 -1.540
Na -13.415 3.998 -1.204
Na -10.123 2.734 1.003
Na -13.207 -1.436 -4.673
Na -12.444 0.135 2.795
Na -12.306 -3.373 0.565
Na -15.595 1.330 0.704
Na -12.200 0.258 -1.256
Na -18.615 0.157 -1.545
Na -9.903 -2.690 -2.479
Bi -8.597 -3.994 0.716
Bi -8.410 0.694 -1.654
Bi -4.374 -0.862 1.028
Bi -8.757 0.483 3.597
C -15.101 0.958 -2.571
C -6.940 2.310 -4.145
C -1.889 0.414 -0.754
C -6.780 1.398 1.101
C -10.201 -0.020 -4.413
C -6.620 -2.016 -1.061
C -10.017 -0.966 0.833
C -10.346 3.353 -2.265
O -10.081 -0.907 2.131
O -11.445 2.676 -2.423
O -5.691 1.023 1.709
O -18.040 2.278 -0.150
O -10.638 1.966 3.485
O -15.661 4.882 -0.449
O -13.393 0.609 0.731
O -5.497 -1.368 -0.987
O -2.983 0.625 -0.078
O -16.091 0.128 -2.731
O -9.994 -2.127 0.233
O -13.290 -1.762 -0.778
O -13.947 0.725 -3.128
O -18.733 -1.629 -3.434
O -13.326 -1.868 2.012
O -15.474 -2.702 -4.149
O -7.878 1.605 1.770
O -11.301 0.371 -5.001
O -10.155 -0.112 -3.116
O -6.780 1.570 -0.186
O -18.641 -1.105 0.430
O -9.445 -4.881 -1.302
O -15.255 2.022 -1.828
O -9.378 2.866 -1.534
O -7.592 -1.556 -1.795
O -15.672 -0.978 0.443
O -9.997 0.125 0.122
O -12.086 -2.891 -3.249
O -12.341 3.388 0.764
O -7.082 1.195 -3.486
O -20.871 -0.249 -1.054
O -6.757 -3.128 -0.395
As -20.382 -1.135 0.365
As -13.968 -1.034 0.654